## P
The following is a DFT calculation (PBE) of an optimized crystal structure of NaSrPrNbO6. Values from VASP.

Structure (Quantum ESPRESSO input):
```
&SYSTEM
  ibrav = 0, nat = 10, ntyp = 5
/
ATOMIC_SPECIES
Na 22.99 Na.upf
Sr 87.62 Sr.upf
Pr 140.91 Pr.upf
Nb 92.91 Nb.upf
O 16.00 O.upf
ATOMIC_POSITIONS crystal
Na 0.0000 0.0000 0.0000
Sr 0.5000 0.5000 0.5000
Pr 0.2500 0.2500 0.2500
Nb 0.7500 0.7500 0.7500
O 0.5188 0.5188 0.9812
O 0.5188 0.9812 0.5188
O 0.5188 0.9812 0.9812
O 0.9812 0.5188 0.5188
O 0.9812 0.5188 0.9812
O 0.9812 0.9812 0.5188
CELL_PARAMETERS angstrom
0.0000 4.3393 4.3393
4.3393 0.0000 4.3393
4.3393 4.3393 0.0000
```

Computed properties:
V (Å³/atom): 16.342

=====

## Q
The following is a DFT calculation (PBE) of an optimized crystal structure of NaSrPrNbO6. Values from VASP.

Structure (Quantum ESPRESSO input):
```
&SYSTEM
  ibrav = 0, nat = 40, ntyp = 5
/
ATOMIC_SPECIES
Na 22.99 Na.upf
Sr 87.62 Sr.upf
Pr 140.91 Pr.upf
Nb 92.91 Nb.upf
O 16.00 O.upf
ATOMIC_POSITIONS crystal
Na 0.2500 0.2500 0.2500
Na 0.2500 0.7500 0.7500
Na 0.7500 0.2500 0.2500
Na 0.7500 0.7500 0.7500
Sr 0.2500 0.2500 0.7500
Sr 0.2500 0.7500 0.2500
Sr 0.7500 0.2500 0.7500
Sr 0.7500 0.7500 0.2500
Pr 0.0000 0.0000 0.0000
Pr 0.0000 0.5000 0.5000
Pr 0.5000 0.0000 0.5000
Pr 0.5000 0.5000 0.0000
Nb 0.0000 0.0000 0.5000
Nb 0.0000 0.5000 0.0000
Nb 0.5000 0.0000 0.0000
Nb 0.5000 0.5000 0.5000
O 0.0348 0.2302 0.5491
O 0.0348 0.2698 0.9509
O 0.0521 0.5418 0.7729
O 0.0521 0.9582 0.7271
O 0.2283 0.5266 0.0567
O 0.2283 0.9734 0.4433
O 0.2717 0.5266 0.4433
O 0.2717 0.9734 0.0567
O 0.4479 0.5418 0.7271
O 0.4479 0.9582 0.7729
O 0.4652 0.2302 0.9509
O 0.4652 0.2698 0.5491
O 0.5348 0.7302 0.4509
O 0.5348 0.7698 0.0491
O 0.5521 0.0418 0.2271
O 0.5521 0.4582 0.2729
O 0.7283 0.0266 0.9433
O 0.7283 0.4734 0.5567
O 0.7717 0.0266 0.5567
O 0.7717 0.4734 0.9433
O 0.9479 0.0418 0.2729
O 0.9479 0.4582 0.2271
O 0.9652 0.7302 0.0491
O 0.9652 0.7698 0.4509
CELL_PARAMETERS angstrom
8.5093 0.0000 0.0000
0.0000 8.5153 0.0000
0.0000 0.0000 8.5308
```

Computed properties:
V (Å³/atom): 15.453

=====

Verdict on stability: P comes out at the bottom.

=====

## P
The following is a DFT calculation (PBE) of an optimized crystal structure of Na3PrTi2Nb2O12. Values from VASP.

Structure (Quantum ESPRESSO input):
```
&SYSTEM
  ibrav = 0, nat = 40, ntyp = 5
/
ATOMIC_SPECIES
Na 22.99 Na.upf
Pr 140.91 Pr.upf
Ti 47.87 Ti.upf
Nb 92.91 Nb.upf
O 16.00 O.upf
ATOMIC_POSITIONS crystal
Na 0.0000 0.2450 0.0000
Na 0.0000 0.7550 0.5000
Na 0.2534 0.2496 0.9626
Na 0.2534 0.7504 0.4626
Na 0.7466 0.2496 0.9626
Na 0.7466 0.7504 0.4626
Pr 0.5000 0.2446 0.0081
Pr 0.5000 0.7554 0.5081
Ti 0.3706 0.2566 0.4902
Ti 0.3706 0.7434 0.9902
Ti 0.6294 0.2566 0.4902
Ti 0.6294 0.7434 0.9902
Nb 0.1262 0.2551 0.4911
Nb 0.1262 0.7449 0.9911
Nb 0.8738 0.2551 0.4911
Nb 0.8738 0.7449 0.9911
O 0.0000 0.3164 0.4452
O 0.0000 0.6836 0.9452
O 0.1087 0.0404 0.7511
O 0.1087 0.9596 0.2511
O 0.1435 0.4577 0.1724
O 0.1435 0.5423 0.6724
O 0.2528 0.1838 0.4733
O 0.2528 0.8162 0.9733
O 0.3651 0.4699 0.1773
O 0.3651 0.5301 0.6773
O 0.3995 0.0306 0.7348
O 0.3995 0.9694 0.2348
O 0.5000 0.3189 0.4444
O 0.5000 0.6811 0.9444
O 0.6005 0.0306 0.7348
O 0.6005 0.9694 0.2348
O 0.6349 0.4699 0.1773
O 0.6349 0.5301 0.6773
O 0.7472 0.1838 0.4733
O 0.7472 0.8162 0.9733
O 0.8565 0.4577 0.1724
O 0.8565 0.5423 0.6724
O 0.8913 0.0404 0.7511
O 0.8913 0.9596 0.2511
CELL_PARAMETERS angstrom
15.6471 0.0000 0.0000
0.0000 5.5390 0.0000
0.0000 0.0000 5.6194
```

Computed properties:
V (Å³/atom): 12.176

=====

## Q
The following is a DFT calculation (PBE) of an optimized crystal structure of Na3PrTi2Nb2O12. Values from VASP.

Structure (Quantum ESPRESSO input):
```
&SYSTEM
  ibrav = 0, nat = 20, ntyp = 5
/
ATOMIC_SPECIES
Na 22.99 Na.upf
Pr 140.91 Pr.upf
Ti 47.87 Ti.upf
Nb 92.91 Nb.upf
O 16.00 O.upf
ATOMIC_POSITIONS crystal
Na 0.0000 0.0000 0.0000
Na 0.0094 0.9651 0.5008
Na 0.5078 0.5000 0.0004
Pr 0.5007 0.4473 0.5006
Ti 0.0034 0.4720 0.2558
Ti 0.5097 0.9710 0.7462
Nb 0.0034 0.4793 0.7636
Nb 0.5093 0.9719 0.2367
O 0.0662 0.4744 0.0040
O 0.2279 0.2228 0.2945
O 0.2318 0.2198 0.7070
O 0.2874 0.7056 0.2906
O 0.2922 0.7088 0.7111
O 0.4340 0.9818 0.9975
O 0.5676 0.0030 0.5040
O 0.7147 0.2778 0.7740
O 0.7175 0.2823 0.2282
O 0.7822 0.7755 0.7806
O 0.7869 0.7719 0.2192
O 0.9344 0.5035 0.4972
CELL_PARAMETERS angstrom
5.5318 0.0000 0.0000
0.0034 5.5887 0.0000
0.0039 0.0118 7.8716
```

Computed properties:
V (Å³/atom): 12.168

=====

Verdict on stability: Q comes out at the bottom.

=====

## P
The following is a DFT calculation (PBE) of an optimized crystal structure of Na3TbTi2Nb2O12. Values from VASP.

Structure (Quantum ESPRESSO input):
```
&SYSTEM
  ibrav = 0, nat = 20, ntyp = 5
/
ATOMIC_SPECIES
Na 22.99 Na.upf
Tb 158.93 Tb.upf
Ti 47.87 Ti.upf
Nb 92.91 Nb.upf
O 16.00 O.upf
ATOMIC_POSITIONS crystal
Na 0.0000 0.0000 0.0000
Na 0.0163 0.9360 0.5016
Na 0.5126 0.4909 0.0011
Tb 0.5000 0.4066 0.5017
Ti 0.5129 0.9469 0.7437
Ti 0.9986 0.4530 0.2604
Nb 0.0030 0.4639 0.7639
Nb 0.5121 0.9482 0.2391
O 0.0750 0.4544 0.0048
O 0.2279 0.2060 0.3043
O 0.2316 0.2039 0.6994
O 0.3096 0.6811 0.3051
O 0.3125 0.6832 0.6985
O 0.4276 0.9593 0.9984
O 0.5850 0.0001 0.5047
O 0.7117 0.2737 0.7754
O 0.7135 0.2751 0.2288
O 0.8011 0.7744 0.7879
O 0.8079 0.7709 0.2128
O 0.9132 0.5009 0.4977
CELL_PARAMETERS angstrom
5.4440 0.0000 0.0000
0.0716 5.5943 0.0000
0.0093 0.0184 7.7811
```

Computed properties:
V (Å³/atom): 11.849

=====

## Q
The following is a DFT calculation (PBE) of an optimized crystal structure of Na3TbTi2Nb2O12. Values from VASP.

Structure (Quantum ESPRESSO input):
```
&SYSTEM
  ibrav = 0, nat = 40, ntyp = 5
/
ATOMIC_SPECIES
Na 22.99 Na.upf
Tb 158.93 Tb.upf
Ti 47.87 Ti.upf
Nb 92.91 Nb.upf
O 16.00 O.upf
ATOMIC_POSITIONS crystal
Na 0.0000 0.2367 0.0000
Na 0.0000 0.7633 0.5000
Na 0.2543 0.2546 0.9523
Na 0.2543 0.7454 0.4523
Na 0.7457 0.2546 0.9523
Na 0.7457 0.7454 0.4523
Tb 0.5000 0.2410 0.0365
Tb 0.5000 0.7590 0.5365
Ti 0.3734 0.2589 0.4997
Ti 0.3734 0.7411 0.9997
Ti 0.6266 0.2589 0.4997
Ti 0.6266 0.7411 0.9997
Nb 0.1270 0.2537 0.4879
Nb 0.1270 0.7463 0.9879
Nb 0.8730 0.2537 0.4879
Nb 0.8730 0.7463 0.9879
O 0.0000 0.3312 0.4529
O 0.0000 0.6688 0.9529
O 0.1057 0.0283 0.7418
O 0.1057 0.9717 0.2418
O 0.1483 0.4652 0.1836
O 0.1483 0.5348 0.6836
O 0.2548 0.1739 0.4807
O 0.2548 0.8261 0.9807
O 0.3646 0.4545 0.1690
O 0.3646 0.5455 0.6690
O 0.4066 0.0448 0.7531
O 0.4066 0.9552 0.2531
O 0.5000 0.3421 0.4373
O 0.5000 0.6579 0.9373
O 0.5934 0.0448 0.7531
O 0.5934 0.9552 0.2531
O 0.6354 0.4545 0.1690
O 0.6354 0.5455 0.6690
O 0.7452 0.1739 0.4807
O 0.7452 0.8261 0.9807
O 0.8517 0.4652 0.1836
O 0.8517 0.5348 0.6836
O 0.8943 0.0283 0.7418
O 0.8943 0.9717 0.2418
CELL_PARAMETERS angstrom
15.4753 0.0000 0.0000
0.0000 5.4858 0.0000
0.0000 0.0000 5.6353
```

Computed properties:
V (Å³/atom): 11.960

=====

Verdict on stability: P comes out at the bottom.

=====

## P
The following is a DFT calculation (PBE) of an optimized crystal structure of Na3TmTi2Nb2O12. Values from VASP.

Structure (Quantum ESPRESSO input):
```
&SYSTEM
  ibrav = 0, nat = 40, ntyp = 5
/
ATOMIC_SPECIES
Na 22.99 Na.upf
Tm 168.93 Tm.upf
Ti 47.87 Ti.upf
Nb 92.91 Nb.upf
O 16.00 O.upf
ATOMIC_POSITIONS crystal
Na 0.0000 0.2412 0.0000
Na 0.0000 0.7588 0.5000
Na 0.2542 0.2549 0.9340
Na 0.2542 0.7451 0.4340
Na 0.7458 0.2549 0.9340
Na 0.7458 0.7451 0.4340
Tm 0.5000 0.2364 0.0330
Tm 0.5000 0.7636 0.5330
Ti 0.3742 0.2636 0.4891
Ti 0.3742 0.7364 0.9891
Ti 0.6258 0.2636 0.4891
Ti 0.6258 0.7364 0.9891
Nb 0.1272 0.2505 0.4662
Nb 0.1272 0.7495 0.9662
Nb 0.8728 0.2505 0.4662
Nb 0.8728 0.7495 0.9662
O 0.0000 0.3285 0.4472
O 0.0000 0.6715 0.9472
O 0.1065 0.0446 0.7571
O 0.1065 0.9554 0.2571
O 0.1476 0.4550 0.1726
O 0.1476 0.5450 0.6726
O 0.2556 0.1762 0.4829
O 0.2556 0.8238 0.9829
O 0.3639 0.4456 0.1546
O 0.3639 0.5544 0.6546
O 0.4101 0.0475 0.7441
O 0.4101 0.9525 0.2441
O 0.5000 0.3588 0.4210
O 0.5000 0.6412 0.9210
O 0.5899 0.0475 0.7441
O 0.5899 0.9525 0.2441
O 0.6361 0.4456 0.1546
O 0.6361 0.5544 0.6546
O 0.7444 0.1762 0.4829
O 0.7444 0.8238 0.9829
O 0.8524 0.4550 0.1726
O 0.8524 0.5450 0.6726
O 0.8935 0.0446 0.7571
O 0.8935 0.9554 0.2571
CELL_PARAMETERS angstrom
15.4689 0.0000 0.0000
0.0000 5.4172 0.0000
0.0000 0.0000 5.5886
```

Computed properties:
V (Å³/atom): 11.708

=====

## Q
The following is a DFT calculation (PBE) of an optimized crystal structure of Na3TmTi2Nb2O12. Values from VASP.

Structure (Quantum ESPRESSO input):
```
&SYSTEM
  ibrav = 0, nat = 20, ntyp = 5
/
ATOMIC_SPECIES
Na 22.99 Na.upf
Tm 168.93 Tm.upf
Ti 47.87 Ti.upf
Nb 92.91 Nb.upf
O 16.00 O.upf
ATOMIC_POSITIONS crystal
Na 0.0000 0.0000 0.0000
Na 0.0192 0.9248 0.5012
Na 0.5159 0.4897 0.0009
Tm 0.4991 0.3954 0.5016
Ti 0.9999 0.4480 0.2582
Ti 0.5137 0.9423 0.7448
Nb 0.0042 0.4585 0.7617
Nb 0.5137 0.9420 0.2411
O 0.0817 0.4469 0.0045
O 0.2294 0.1972 0.3063
O 0.2336 0.1936 0.6970
O 0.3167 0.6674 0.3092
O 0.3197 0.6697 0.6944
O 0.4265 0.9486 0.9987
O 0.5900 0.9990 0.5044
O 0.7122 0.2652 0.7786
O 0.7148 0.2676 0.2250
O 0.8048 0.7675 0.7900
O 0.8117 0.7633 0.2111
O 0.9036 0.4916 0.4980
CELL_PARAMETERS angstrom
5.4128 0.0000 0.0000
0.0659 5.5805 0.0000
0.0029 0.0188 7.7404
```

Computed properties:
V (Å³/atom): 11.690

=====

Verdict on stability: Q comes out at the bottom.